Computed, not measured: a geometry-optimized RbCoO2 structure at the GGA+U level of DFT. Values from VASP.

Summary:
Space group   No. 227
Theoretical density   3.816 g/cm³
Corrected total energy (MP2020 scheme)   -46.5 eV per cell
Energy   -5.056 eV per atom
Formation enthalpy at 0 K   -1.312 eV per atom

The structure in Quantum ESPRESSO input format:
```
&SYSTEM
  ibrav = 0, nat = 8, ntyp = 3
/
ATOMIC_SPECIES
Rb 85.47 Rb.upf
Co 58.93 Co.upf
O 16.00 O.upf
ATOMIC_POSITIONS crystal
Rb 0.125 0.125 0.125
Rb 0.875 0.875 0.875
Co 0.375 0.375 0.375
Co 0.625 0.625 0.625
O 0.000 0.500 0.500
O 0.500 0.000 0.500
O 0.500 0.500 0.000
O 0.500 0.500 0.500
CELL_PARAMETERS angstrom
0.000 4.250 4.250
4.250 0.000 4.250
4.250 4.250 0.000
```